1.
Compound: PmS
Source: the Materials Project database
Functional: GGA-PBE
Structure: relaxed

## Properties
**ΔE_f**: -2.2842 eV/atom
**ΔE to the lowest computed polymorph**: 0.0 kJ/mol of atoms
**Crystal system**: cubic
**VASP energy**: -6.48 eV/atom

Lattice parameters (Å, degrees): 5.703 5.703 5.703 90.00 90.00 90.00
Space group Fm-3m (No. 225)
One atom of each set of equivalent atoms:
Pm 0.000 0.000 0.000 x4
S 0.000 0.000 0.500 x4

=====

2.
Compound: PmS2
Source: the Materials Project database
Functional: GGA-PBE
Structure: relaxed

## Properties
**ΔE_f**: -2.0776 eV/atom
**ΔE to the lowest computed polymorph**: 0.0 kJ/mol of atoms
**Crystal system**: monoclinic
**VASP energy**: -6.08 eV/atom

Lattice parameters (Å, degrees): 8.101 4.015 8.007 90.00 90.10 90.00
Space group P2_1/c (No. 14)
One atom of each set of equivalent atoms:
Pm 0.225 0.214 0.371 x4
S 0.133 0.740 0.125 x4
S 0.497 0.659 0.391 x4